Material: Ba2AsSe4O3
Method: DFT, PBE-GGA
State: relaxed

Structure (extended XYZ):
```
10
Lattice="4.4477 4.6667 0.0000 -4.4477 4.6667 0.0000 0.0000 2.6172 6.2713" Properties=species:S:1:pos:R:3 pbc="T T T"
Ba -2.3387 4.9302 0.1397
Ba 2.3387 4.9302 0.1397
Se 2.5839 4.9008 3.6242
Se 0.0000 7.2165 1.1307
Se 0.0000 4.1652 3.5741
Se -2.5839 4.9008 3.6242
As 0.0000 7.9481 3.4526
O 0.6730 2.6752 0.5693
O 0.0000 3.0192 4.9144
O -0.6730 2.6752 0.5693
```

Properties
mass density	4.55	Mg/m³
DFT formation energy	-1042	meV/atom
crystal system	monoclinic